# 1
{"formula": "Na6Zr2Si4O17", "functional": "PBE", "state": "relaxed", "e_form_ev_per_atom": -2.674, "space_group": "C2/m (12)", "lattice_angstrom": [[4.612, -2.787, 0.000], [4.612, 2.787, 0.000], [-0.255, 0.000, 14.258]], "species": ["Na", "Na", "Na", "Na", "Na", "Na", "Zr", "Zr", "Si", "Si", "Si", "Si", "O", "O", "O", "O", "O", "O", "O", "O", "O", "O", "O", "O", "O", "O", "O", "O", "O"], "fractional_positions": [[0.007, 0.007, 0.245], [0.317, 0.317, 0.624], [0.326, 0.326, 0.119], [0.674, 0.674, 0.881], [0.683, 0.683, 0.376], [0.993, 0.993, 0.755], [0.000, 0.000, 0.000], [0.000, 0.000, 0.500], [0.341, 0.341, 0.377], [0.344, 0.344, 0.882], [0.656, 0.656, 0.118], [0.659, 0.659, 0.623], [0.182, 0.691, 0.385], [0.207, 0.207, 0.453], [0.211, 0.687, 0.896], [0.217, 0.217, 0.962], [0.267, 0.267, 0.777], [0.268, 0.268, 0.272], [0.309, 0.818, 0.615], [0.313, 0.789, 0.104], [0.500, 0.500, 0.500], [0.687, 0.211, 0.896], [0.691, 0.182, 0.385], [0.732, 0.732, 0.728], [0.733, 0.733, 0.223], [0.783, 0.783, 0.038], [0.789, 0.313, 0.104], [0.793, 0.793, 0.547], [0.818, 0.309, 0.615]]}

# 2
{"formula": "K2GaPCO7", "functional": "PBE", "state": "relaxed", "e_form_ev_per_atom": -2.344, "space_group": "P2_1/m (11)", "lattice_angstrom": [[5.488, 0.000, 0.000], [0.000, 6.754, 0.000], [-0.108, 0.000, 9.681]], "species": ["K", "K", "K", "K", "Ga", "Ga", "P", "P", "C", "C", "O", "O", "O", "O", "O", "O", "O", "O", "O", "O", "O", "O", "O", "O"], "fractional_positions": [[0.243, 0.026, 0.241], [0.243, 0.474, 0.241], [0.757, 0.526, 0.759], [0.757, 0.974, 0.759], [0.233, 0.250, 0.642], [0.767, 0.750, 0.358], [0.277, 0.750, 0.565], [0.723, 0.250, 0.435], [0.271, 0.250, 0.897], [0.729, 0.750, 0.103], [0.061, 0.250, 0.829], [0.099, 0.750, 0.439], [0.239, 0.562, 0.655], [0.239, 0.938, 0.655], [0.293, 0.250, 0.025], [0.451, 0.250, 0.486], [0.457, 0.250, 0.810], [0.543, 0.750, 0.190], [0.549, 0.750, 0.514], [0.707, 0.750, 0.975], [0.761, 0.062, 0.345], [0.761, 0.438, 0.345], [0.901, 0.250, 0.561], [0.939, 0.750, 0.171]]}

# 3
{"formula": "Ta5Pb11O26", "functional": "PBE", "state": "relaxed", "e_form_ev_per_atom": -2.266, "space_group": "C2/m (12)", "lattice_angstrom": [[6.654, -3.835, 0.000], [6.654, 3.835, 0.000], [-4.548, 0.000, 12.675]], "species": ["Ta", "Ta", "Ta", "Ta", "Ta", "Pb", "Pb", "Pb", "Pb", "Pb", "Pb", "Pb", "Pb", "Pb", "Pb", "Pb", "O", "O", "O", "O", "O", "O", "O", "O", "O", "O", "O", "O", "O", "O", "O", "O", "O", "O", "O", "O", "O", "O", "O", "O", "O", "O"], "fractional_positions": [[0.000, 0.000, 0.000], [0.000, 0.500, 0.000], [0.000, 0.500, 0.500], [0.500, 0.000, 0.000], [0.500, 0.000, 0.500], [0.000, 0.000, 0.500], [0.249, 0.249, 0.246], [0.249, 0.249, 0.743], [0.252, 0.744, 0.743], [0.256, 0.748, 0.257], [0.500, 0.500, 0.000], [0.500, 0.500, 0.500], [0.744, 0.252, 0.743], [0.748, 0.256, 0.257], [0.751, 0.751, 0.257], [0.751, 0.751, 0.754], [0.007, 0.428, 0.345], [0.074, 0.504, 0.156], [0.079, 0.079, 0.155], [0.089, 0.717, 0.022], [0.192, 0.622, 0.533], [0.227, 0.227, 0.524], [0.283, 0.911, 0.978], [0.284, 0.284, 0.980], [0.378, 0.808, 0.467], [0.423, 0.423, 0.329], [0.428, 0.007, 0.345], [0.432, 0.432, 0.801], [0.496, 0.926, 0.844], [0.504, 0.074, 0.156], [0.568, 0.568, 0.199], [0.572, 0.993, 0.655], [0.577, 0.577, 0.671], [0.622, 0.192, 0.533], [0.716, 0.716, 0.020], [0.717, 0.089, 0.022], [0.773, 0.773, 0.476], [0.808, 0.378, 0.467], [0.911, 0.283, 0.978], [0.921, 0.921, 0.845], [0.926, 0.496, 0.844], [0.993, 0.572, 0.655]]}

# 4
{"formula": "HfCuSi2", "functional": "PBE", "state": "relaxed", "e_form_ev_per_atom": -0.438, "space_group": "P4/nmm (129)", "lattice_angstrom": [[3.675, 0.000, 0.000], [0.000, 3.675, 0.000], [0.000, 0.000, 9.052]], "species": ["Hf", "Hf", "Cu", "Cu", "Si", "Si", "Si", "Si"], "fractional_positions": [[0.250, 0.250, 0.233], [0.750, 0.750, 0.767], [0.250, 0.750, 0.500], [0.750, 0.250, 0.500], [0.250, 0.250, 0.674], [0.250, 0.750, 0.000], [0.750, 0.250, 0.000], [0.750, 0.750, 0.326]]}

# 5
{"formula": "RbOsN2", "functional": "PBE", "state": "relaxed", "e_form_ev_per_atom": -0.061, "space_group": "Pbca (61)", "e_above_lowest_polymorph_ev_per_atom": 0.003, "lattice_angstrom": [[6.351, 0.000, 0.000], [0.000, 12.460, 0.000], [0.000, 0.000, 15.416]], "species": ["Rb", "Rb", "Rb", "Rb", "Rb", "Rb", "Rb", "Rb", "Rb", "Rb", "Rb", "Rb", "Rb", "Rb", "Rb", "Rb", "Os", "Os", "Os", "Os", "Os", "Os", "Os", "Os", "Os", "Os", "Os", "Os", "Os", "Os", "Os", "Os", "N", "N", "N", "N", "N", "N", "N", "N", "N", "N", "N", "N", "N", "N", "N", "N", "N", "N", "N", "N", "N", "N", "N", "N", "N", "N", "N", "N", "N", "N", "N", "N"], "fractional_positions": [[0.087, 0.249, 0.193], [0.087, 0.251, 0.693], [0.247, 0.502, 0.065], [0.247, 0.998, 0.565], [0.253, 0.002, 0.065], [0.253, 0.498, 0.565], [0.413, 0.749, 0.193], [0.413, 0.751, 0.693], [0.587, 0.249, 0.307], [0.587, 0.251, 0.807], [0.747, 0.502, 0.435], [0.747, 0.998, 0.935], [0.753, 0.002, 0.435], [0.753, 0.498, 0.935], [0.913, 0.749, 0.307], [0.913, 0.751, 0.807], [0.144, 0.247, 0.441], [0.144, 0.253, 0.941], [0.243, 0.002, 0.815], [0.243, 0.498, 0.315], [0.257, 0.502, 0.815], [0.257, 0.998, 0.315], [0.356, 0.747, 0.441], [0.356, 0.753, 0.941], [0.644, 0.247, 0.059], [0.644, 0.253, 0.559], [0.743, 0.002, 0.685], [0.743, 0.498, 0.185], [0.757, 0.502, 0.685], [0.757, 0.998, 0.185], [0.856, 0.747, 0.059], [0.856, 0.753, 0.559], [0.003, 0.003, 0.251], [0.003, 0.497, 0.751], [0.141, 0.748, 0.027], [0.141, 0.752, 0.527], [0.210, 0.122, 0.382], [0.210, 0.378, 0.882], [0.211, 0.123, 0.884], [0.211, 0.377, 0.384], [0.289, 0.623, 0.884], [0.289, 0.877, 0.384], [0.290, 0.622, 0.382], [0.290, 0.878, 0.882], [0.359, 0.248, 0.027], [0.359, 0.252, 0.527], [0.497, 0.503, 0.251], [0.497, 0.997, 0.751], [0.503, 0.003, 0.249], [0.503, 0.497, 0.749], [0.641, 0.748, 0.473], [0.641, 0.752, 0.973], [0.710, 0.122, 0.118], [0.710, 0.378, 0.618], [0.711, 0.123, 0.616], [0.711, 0.377, 0.116], [0.789, 0.623, 0.616], [0.789, 0.877, 0.116], [0.790, 0.622, 0.118], [0.790, 0.878, 0.618], [0.859, 0.248, 0.473], [0.859, 0.252, 0.973], [0.997, 0.503, 0.249], [0.997, 0.997, 0.749]]}

# 6
{"formula": "Na3Cu4S4", "functional": "PBE", "state": "relaxed", "e_form_ev_per_atom": -0.798, "space_group": "Pbam (55)", "lattice_angstrom": [[7.178, 0.000, 0.000], [0.000, 14.585, 0.000], [0.000, 0.000, 3.756]], "species": ["Na", "Na", "Na", "Na", "Na", "Na", "Cu", "Cu", "Cu", "Cu", "Cu", "Cu", "Cu", "Cu", "S", "S", "S", "S", "S", "S", "S", "S"], "fractional_positions": [[0.000, 0.000, 0.000], [0.016, 0.234, 0.500], [0.484, 0.734, 0.500], [0.500, 0.500, 0.000], [0.516, 0.266, 0.500], [0.984, 0.766, 0.500], [0.079, 0.407, 0.000], [0.168, 0.565, 0.500], [0.332, 0.065, 0.500], [0.421, 0.907, 0.000], [0.579, 0.093, 0.000], [0.668, 0.935, 0.500], [0.832, 0.435, 0.500], [0.921, 0.593, 0.000], [0.217, 0.653, 0.000], [0.248, 0.912, 0.500], [0.252, 0.412, 0.500], [0.283, 0.153, 0.000], [0.717, 0.847, 0.000], [0.748, 0.588, 0.500], [0.752, 0.088, 0.500], [0.783, 0.347, 0.000]]}

# 7
{"formula": "KCN", "functional": "PBE", "state": "relaxed", "e_form_ev_per_atom": 0.240, "space_group": "P1 (1)", "e_above_lowest_polymorph_ev_per_atom": 0.628, "lattice_angstrom": [[5.545, 0.000, 0.000], [1.649, 5.491, 0.000], [1.128, 1.071, 6.650]], "species": ["K", "K", "K", "K", "C", "C", "C", "C", "N", "N", "N", "N"], "fractional_positions": [[0.000, 0.000, 0.000], [0.068, 0.621, 0.524], [0.584, 0.653, 0.033], [0.654, 0.266, 0.574], [0.123, 0.423, 0.103], [0.235, 0.041, 0.568], [0.336, 0.206, 0.179], [0.371, 0.047, 0.357], [0.259, 0.412, 0.918], [0.440, 0.854, 0.623], [0.477, 0.206, 0.988], [0.577, 0.845, 0.417]]}

# 8
{"formula": "As2Rh", "functional": "PBE", "state": "relaxed", "e_form_ev_per_atom": -0.502, "space_group": "P2_1/c (14)", "lattice_angstrom": [[6.150, 0.000, 0.000], [0.000, 6.167, 0.000], [-2.549, 0.000, 5.696]], "species": ["As", "As", "As", "As", "As", "As", "As", "As", "Rh", "Rh", "Rh", "Rh"], "fractional_positions": [[0.155, 0.128, 0.370], [0.155, 0.372, 0.870], [0.338, 0.630, 0.682], [0.338, 0.870, 0.182], [0.662, 0.130, 0.818], [0.662, 0.370, 0.318], [0.845, 0.628, 0.130], [0.845, 0.872, 0.630], [0.272, 0.000, 0.790], [0.272, 0.500, 0.290], [0.728, 0.000, 0.210], [0.728, 0.500, 0.710]]}

# 9
{"formula": "Sr2DyBiO6", "functional": "PBE", "state": "relaxed", "e_form_ev_per_atom": -2.825, "space_group": "Pn-3 (201)", "lattice_angstrom": [[8.533, 0.000, 0.000], [0.000, 8.533, 0.000], [0.000, 0.000, 8.533]], "species": ["Sr", "Sr", "Sr", "Sr", "Sr", "Sr", "Sr", "Sr", "Dy", "Dy", "Dy", "Dy", "Bi", "Bi", "Bi", "Bi", "O", "O", "O", "O", "O", "O", "O", "O", "O", "O", "O", "O", "O", "O", "O", "O", "O", "O", "O", "O", "O", "O", "O", "O"], "fractional_positions": [[0.250, 0.250, 0.250], [0.250, 0.250, 0.750], [0.250, 0.750, 0.250], [0.250, 0.750, 0.750], [0.750, 0.250, 0.250], [0.750, 0.250, 0.750], [0.750, 0.750, 0.250], [0.750, 0.750, 0.750], [0.000, 0.000, 0.000], [0.000, 0.500, 0.500], [0.500, 0.000, 0.500], [0.500, 0.500, 0.000], [0.000, 0.000, 0.500], [0.000, 0.500, 0.000], [0.500, 0.000, 0.000], [0.500, 0.500, 0.500], [0.035, 0.544, 0.756], [0.035, 0.956, 0.744], [0.044, 0.244, 0.535], [0.044, 0.256, 0.965], [0.244, 0.535, 0.044], [0.244, 0.965, 0.456], [0.256, 0.535, 0.456], [0.256, 0.965, 0.044], [0.456, 0.244, 0.965], [0.456, 0.256, 0.535], [0.465, 0.544, 0.744], [0.465, 0.956, 0.756], [0.535, 0.044, 0.244], [0.535, 0.456, 0.256], [0.544, 0.744, 0.465], [0.544, 0.756, 0.035], [0.744, 0.035, 0.956], [0.744, 0.465, 0.544], [0.756, 0.035, 0.544], [0.756, 0.465, 0.956], [0.956, 0.744, 0.035], [0.956, 0.756, 0.465], [0.965, 0.044, 0.256], [0.965, 0.456, 0.244]]}

# 10
{"formula": "Hg2TeS", "functional": "PBE", "state": "relaxed", "e_form_ev_per_atom": -0.229, "space_group": "R3m (160)", "lattice_angstrom": [[2.243, 1.295, 7.327], [-2.243, 1.295, 7.327], [0.000, -2.590, 7.327]], "species": ["Hg", "Hg", "Te", "S"], "fractional_positions": [[0.000, 0.000, 0.000], [0.485, 0.485, 0.485], [0.615, 0.615, 0.615], [0.117, 0.117, 0.117]]}

# 11
{"formula": "NbCr2", "functional": "PBE", "state": "relaxed", "e_form_ev_per_atom": -0.029, "space_group": "Fd-3m (227)", "lattice_angstrom": [[0.000, 3.479, 3.479], [3.479, 0.000, 3.479], [3.479, 3.479, 0.000]], "species": ["Nb", "Nb", "Cr", "Cr", "Cr", "Cr"], "fractional_positions": [[0.125, 0.125, 0.125], [0.875, 0.875, 0.875], [0.000, 0.500, 0.500], [0.500, 0.000, 0.500], [0.500, 0.500, 0.000], [0.500, 0.500, 0.500]]}

# 12
{"formula": "TbAlPd", "functional": "PBE", "state": "relaxed", "e_form_ev_per_atom": -0.873, "space_group": "P-62m (189)", "lattice_angstrom": [[7.151, 0.000, 0.000], [-3.576, 6.193, 0.000], [0.000, 0.000, 4.108]], "species": ["Tb", "Tb", "Tb", "Al", "Al", "Al", "Pd", "Pd", "Pd"], "fractional_positions": [[0.000, 0.583, 0.000], [0.417, 0.417, 0.000], [0.583, 0.000, 0.000], [0.000, 0.236, 0.500], [0.236, 0.000, 0.500], [0.764, 0.764, 0.500], [0.000, 0.000, 0.000], [0.333, 0.667, 0.500], [0.667, 0.333, 0.500]]}